Record 1
Computed, not measured: a relaxed Na2Ta3AlSi2P4O24 crystal at the PBE level of DFT.

abc: 8.699 8.701 22.575
angles: 89.96 89.98 60.01
Positions (direct):
Na  0.000  0.000  0.000
Na  0.002  0.999  0.505
Na  0.335  0.330  0.666
Na  0.338  0.330  0.165
Na  0.666  0.668  0.830
Na  0.671  0.667  0.339
Ta  0.007  0.998  0.853
Ta  0.332  0.337  0.521
Ta  0.333  0.333  0.310
Ta  0.335  0.330  0.807
Ta  0.335  0.333  0.020
Ta  0.667  0.667  0.976
Ta  0.667  0.669  0.685
Ta  0.669  0.668  0.187
Ta  0.998  0.996  0.354
Al  0.002  0.002  0.643
Al  0.671  0.667  0.480
Al  0.998  0.002  0.144
Si  0.034  0.621  0.417
Si  0.050  0.333  0.914
Si  0.280  0.001  0.742
Si  0.334  0.617  0.914
Si  0.622  0.048  0.914
Si  0.719  0.004  0.244
P  0.003  0.720  0.744
P  0.004  0.277  0.245
P  0.280  0.719  0.245
P  0.342  0.039  0.416
P  0.369  0.955  0.083
P  0.379  0.677  0.578
P  0.620  0.343  0.416
P  0.678  0.369  0.083
P  0.680  0.948  0.579
P  0.722  0.279  0.744
P  0.947  0.374  0.579
P  0.958  0.675  0.083
O  0.025  0.162  0.907
O  0.025  0.807  0.689
O  0.028  0.813  0.408
O  0.035  0.166  0.190
O  0.135  0.368  0.856
O  0.136  0.500  0.357
O  0.139  0.356  0.573
O  0.141  0.502  0.078
O  0.159  0.811  0.908
O  0.162  0.029  0.686
O  0.166  0.306  0.254
O  0.169  0.300  0.974
O  0.169  0.532  0.751
O  0.170  0.030  0.407
O  0.170  0.526  0.472
O  0.170  0.803  0.190
O  0.189  0.973  0.091
O  0.192  0.834  0.587
O  0.200  0.969  0.804
O  0.203  0.830  0.302
O  0.303  0.530  0.974
O  0.304  0.531  0.255
O  0.309  0.161  0.470
O  0.309  0.173  0.751
O  0.359  0.138  0.078
O  0.367  0.501  0.573
O  0.368  0.130  0.360
O  0.369  0.499  0.855
O  0.462  0.841  0.028
O  0.471  0.692  0.239
O  0.471  0.697  0.524
O  0.483  0.825  0.739
O  0.493  0.862  0.138
O  0.497  0.641  0.635
O  0.499  0.134  0.856
O  0.502  0.856  0.424
O  0.506  0.356  0.078
O  0.506  0.640  0.924
O  0.507  0.136  0.573
O  0.507  0.362  0.360
O  0.519  0.174  0.255
O  0.531  0.308  0.751
O  0.533  0.167  0.974
O  0.538  0.301  0.470
O  0.634  0.507  0.424
O  0.639  0.855  0.924
O  0.643  0.865  0.636
O  0.646  0.491  0.137
O  0.694  0.827  0.240
O  0.696  0.464  0.028
O  0.701  0.835  0.525
O  0.702  0.468  0.738
O  0.804  0.167  0.689
O  0.807  0.175  0.407
O  0.809  0.032  0.187
O  0.815  0.026  0.907
O  0.829  0.200  0.801
O  0.836  0.467  0.525
O  0.836  0.971  0.305
O  0.837  0.467  0.239
O  0.839  0.691  0.738
O  0.840  0.972  0.589
O  0.842  0.643  0.424
O  0.843  0.696  0.028
O  0.844  0.188  0.089
O  0.855  0.507  0.924
O  0.865  0.644  0.137
O  0.869  0.492  0.635
O  0.969  0.828  0.802
O  0.970  0.190  0.587
O  0.974  0.199  0.302
O  0.978  0.837  0.089

Output
Theoretical density: 4.0 Mg/m³
E_tot: -7.9732 eV/atom



Record 2
Computed, not measured: a relaxed BaO3 crystal at the PBE level of DFT.

abc: 3.472 5.157 7.525
angles: 90.00 90.00 90.00
Positions (direct):
Ba  0.000  0.170  0.000
Ba  0.000  0.830  0.500
O  0.000  0.337  0.640
O  0.000  0.663  0.140
O  0.500  0.064  0.270
O  0.500  0.390  0.582
O  0.500  0.610  0.082
O  0.500  0.936  0.770

Output
Theoretical density: 4.6 Mg/m³
E_tot: -4.8786 eV/atom



Record 3
Computed, not measured: a relaxed H3W crystal at the PBE level of DFT.

abc: 3.258 3.130 5.216
angles: 90.00 104.84 90.00
Positions (direct):
H  0.002  0.250  0.348
H  0.091  0.750  0.143
H  0.432  0.250  0.104
H  0.568  0.750  0.896
H  0.909  0.250  0.857
H  0.998  0.750  0.652
W  0.350  0.250  0.689
W  0.650  0.750  0.311

Output
Theoretical density: 12.1 Mg/m³
E_tot: -5.5207 eV/atom



Record 4
Computed, not measured: a relaxed KAg3S2 crystal at the PBE level of DFT.

abc: 9.437 9.437 9.437
angles: 60.00 60.00 60.00
Positions (direct):
K  0.000  0.000  0.000
K  0.000  0.000  0.500
K  0.000  0.500  0.000
K  0.500  0.000  0.000
Ag  0.215  0.215  0.535
Ag  0.215  0.535  0.215
Ag  0.215  0.535  0.535
Ag  0.465  0.465  0.785
Ag  0.465  0.785  0.465
Ag  0.465  0.785  0.785
Ag  0.535  0.215  0.215
Ag  0.535  0.215  0.535
Ag  0.535  0.535  0.215
Ag  0.785  0.465  0.465
Ag  0.785  0.465  0.785
Ag  0.785  0.785  0.465
S  0.239  0.754  0.754
S  0.246  0.246  0.246
S  0.246  0.246  0.761
S  0.246  0.761  0.246
S  0.754  0.239  0.754
S  0.754  0.754  0.239
S  0.754  0.754  0.754
S  0.761  0.246  0.246

Output
Theoretical density: 4.8 Mg/m³
E_tot: -3.3665 eV/atom



Record 5
Computed, not measured: a relaxed LiLuF4 crystal at the PBE level of DFT.

abc: 6.354 6.354 5.120
angles: 112.59 112.59 111.67
Positions (direct):
Li  0.110  0.890  0.750
Li  0.890  0.110  0.250
Lu  0.373  0.627  0.250
Lu  0.627  0.373  0.750
F  0.046  0.634  0.874
F  0.243  0.326  0.719
F  0.326  0.243  0.219
F  0.366  0.954  0.626
F  0.634  0.046  0.374
F  0.674  0.757  0.781
F  0.757  0.674  0.281
F  0.954  0.366  0.126

Output
Theoretical density: 6.1 Mg/m³
E_tot: -6.1167 eV/atom



Record 6
Computed, not measured: a relaxed Ce9B3C6Br5 crystal at the PBE level of DFT.

abc: 7.995 3.705 31.502
angles: 90.00 90.04 90.00
Positions (direct):
Ce  0.000  0.000  0.000
Ce  0.000  0.000  0.239
Ce  0.105  0.500  0.119
Ce  0.206  0.000  0.619
Ce  0.311  0.500  0.500
Ce  0.311  0.500  0.739
Ce  0.460  0.500  0.380
Ce  0.460  0.500  0.859
Ce  0.573  0.000  0.273
Ce  0.574  0.000  0.966
Ce  0.600  0.000  0.567
Ce  0.600  0.000  0.671
Ce  0.710  0.500  0.067
Ce  0.710  0.500  0.172
Ce  0.736  0.500  0.466
Ce  0.736  0.500  0.773
Ce  0.849  0.000  0.359
Ce  0.849  0.000  0.880
B  0.442  0.500  0.619
B  0.502  0.000  0.791
B  0.503  0.000  0.448
B  0.807  0.500  0.291
B  0.807  0.500  0.947
B  0.868  0.000  0.119
C  0.374  0.500  0.574
C  0.374  0.500  0.664
C  0.529  0.000  0.496
C  0.529  0.000  0.743
C  0.638  0.000  0.826
C  0.639  0.000  0.413
C  0.671  0.500  0.326
C  0.671  0.500  0.913
C  0.782  0.500  0.243
C  0.782  0.500  0.996
C  0.936  0.000  0.074
C  0.936  0.000  0.165
Br  0.071  0.500  0.417
Br  0.071  0.500  0.822
Br  0.239  0.000  0.322
Br  0.240  0.000  0.916
Br  0.326  0.500  0.021
Br  0.326  0.500  0.218
Br  0.433  0.000  0.119
Br  0.878  0.500  0.619
Br  0.984  0.000  0.521
Br  0.984  0.000  0.718

Output
Theoretical density: 6.3 Mg/m³
E_tot: -6.8096 eV/atom



Which value of theoretical density does entry 1 give?
4.0 Mg/m³



The lowest theoretical density belongs to which entry?
Na2Ta3AlSi2P4O24



Repeat the fifth record exactly.
Computed, not measured: a relaxed LiLuF4 crystal at the PBE level of DFT.

abc: 6.354 6.354 5.120
angles: 112.59 112.59 111.67
Positions (direct):
Li  0.110  0.890  0.750
Li  0.890  0.110  0.250
Lu  0.373  0.627  0.250
Lu  0.627  0.373  0.750
F  0.046  0.634  0.874
F  0.243  0.326  0.719
F  0.326  0.243  0.219
F  0.366  0.954  0.626
F  0.634  0.046  0.374
F  0.674  0.757  0.781
F  0.757  0.674  0.281
F  0.954  0.366  0.126

Output
Theoretical density: 6.1 Mg/m³
E_tot: -6.1167 eV/atom